(1)
TmNiSn4 | PBE-GGA | optimized geometry

Results
Total magnetization   0.00 μB/cell

Lattice parameters (Å, degrees): 14.169 14.169 4.527 90.00 90.00 162.19
Fractional coordinates of all 12 atoms:
Sn  0.890  0.110  0.000
Sn  0.609  0.391  0.500
Sn  0.714  0.286  0.000
Sn  0.110  0.890  0.000
Sn  0.391  0.609  0.500
Sn  0.500  0.500  0.500
Sn  0.000  0.000  0.000
Sn  0.286  0.714  0.000
Tm  0.805  0.195  0.500
Tm  0.195  0.805  0.500
Ni  0.449  0.551  0.000
Ni  0.551  0.449  0.000

***

(2)
UNiSn | PBE-GGA | optimized geometry

Results
Total magnetization   2.00 μB/cell

Lattice parameters (Å, degrees): 4.725 4.725 4.725 60.00 60.00 60.00
Fractional coordinates of all 3 atoms:
Sn  0.250  0.250  0.250
Ni  0.500  0.500  0.500
U  0.000  0.000  0.000

***

Asked for calculated volume across the records above, the calculation gives 278.0 74.6 Å³ per cell in order.
Asked for DFT formation energy across the records above, the calculation gives -0.315 0.601 eV per atom in order.
Asked for VASP energy across the records above, the calculation gives -4.697 -6.426 eV per atom in order.